{
  "formula": "Li2CoOF2",
  "functional": "GGA+U",
  "state": "relaxed",
  "lattice_angstrom": [[0.000, -2.092, -2.091], [12.579, 2.063, -2.063], [0.018, -4.178, 4.177]],
  "species": ["F", "F", "F", "F", "F", "F", "F", "F", "Li", "Li", "Li", "Li", "Li", "Li", "Li", "Li", "O", "O", "O", "O", "Co", "Co", "Co", "Co"],
  "fractional_positions": [[0.500, 0.989, 0.244], [0.000, 0.831, 0.415], [0.500, 0.669, 0.085], [0.000, 0.511, 0.756], [0.000, 0.511, 0.256], [0.500, 0.669, 0.585], [0.000, 0.831, 0.915], [0.500, 0.989, 0.744], [0.500, 0.506, 0.003], [0.500, 0.830, 0.665], [0.000, 0.670, 0.335], [0.500, 0.506, 0.503], [0.000, 0.994, 0.997], [0.000, 0.994, 0.497], [0.500, 0.830, 0.165], [0.000, 0.670, 0.835], [0.500, 0.339, 0.920], [0.000, 0.161, 0.080], [0.000, 0.161, 0.581], [0.500, 0.339, 0.419], [0.500, 0.166, 0.832], [0.500, 0.166, 0.332], [0.000, 0.334, 0.168], [0.000, 0.334, 0.668]],
  "m_tot_mub_per_atom": 0.00,
  "dft_energy_ev_per_cell": -125.72,
  "e_form_ev_per_atom": -2.4958
}